Record 1
SrGeO4, relaxed, DFT GGA-PBE; electronic total energy = -70.8 eV per cell; E_form = -2.005 eV per atom
1.0
-3.579 3.579 3.495
3.579 -3.579 3.495
3.579 3.579 -3.495
Sr Ge O
2 2 8
Cartesian
0.000 3.579 1.748 Sr
0.000 0.000 3.495 Sr
0.000 0.000 0.000 Ge
3.579 0.000 1.748 Ge
2.429 2.902 2.316 O
-0.678 1.150 1.179 O
1.150 2.902 -0.568 O
-0.678 2.429 4.063 O
1.150 0.678 5.811 O
4.257 2.429 -2.316 O
4.257 1.150 0.568 O
2.429 0.678 2.927 O

Record 2
Na8Ti2Al2Si5SO24, relaxed, DFT GGA-PBE; electronic total energy = -863.2 eV per cell; E_form = -2.866 eV per atom
1.0
-3.635 -0.702 8.097
3.380 -7.195 -3.981
19.339 4.000 9.260
O Ti Si Al Na S
72 6 15 6 24 3
Cartesian
6.625 -5.169 1.562 O
8.107 -0.622 10.439 O
-1.485 -1.493 5.273 O
12.766 2.423 14.162 O
15.484 1.894 8.519 O
5.943 -2.535 1.864 O
19.814 0.506 8.559 O
13.176 -1.337 11.544 O
3.972 -3.264 5.782 O
9.364 -2.229 8.396 O
8.267 -5.989 6.546 O
2.730 -1.809 7.734 O
18.197 -3.078 7.489 O
5.399 -4.277 3.826 O
11.818 -1.465 9.058 O
6.321 0.174 8.486 O
15.546 -3.270 7.942 O
4.191 -0.679 1.241 O
12.756 -4.071 4.872 O
10.699 -4.465 0.659 O
7.570 -1.246 6.432 O
10.074 -4.431 5.436 O
13.450 1.170 6.923 O
1.613 -0.944 1.644 O
11.045 1.260 9.483 O
12.484 1.268 11.823 O
17.818 -0.255 7.024 O
5.636 -5.051 6.460 O
-1.239 -0.422 7.360 O
16.553 2.241 12.077 O
12.252 -1.470 4.544 O
8.995 0.541 7.945 O
9.576 -1.621 5.015 O
10.780 2.037 6.843 O
11.070 -4.087 8.991 O
2.153 -2.430 3.901 O
3.136 -4.441 -0.639 O
8.020 -5.126 3.917 O
3.051 -0.604 10.052 O
1.267 -3.626 6.347 O
6.739 -2.480 8.804 O
13.690 0.405 9.571 O
17.236 -0.417 11.704 O
16.960 -1.487 9.626 O
-0.778 -4.303 4.814 O
16.053 -3.278 3.375 O
16.338 -2.094 5.614 O
19.209 -1.493 10.610 O
8.357 0.510 12.709 O
13.719 -4.725 9.036 O
15.151 -0.680 7.623 O
5.429 0.814 4.347 O
2.536 -6.293 1.392 O
7.311 -2.302 4.346 O
20.346 -3.454 5.847 O
6.313 -6.255 -0.704 O
8.028 0.067 4.445 O
0.760 -0.746 5.930 O
8.570 -3.201 1.870 O
16.032 0.547 14.000 O
17.544 -2.822 11.635 O
14.923 -3.202 12.117 O
18.141 2.369 7.857 O
3.575 -5.852 4.876 O
-0.256 -2.382 2.820 O
3.520 -0.591 5.485 O
11.508 -2.636 6.737 O
0.953 -6.215 5.438 O
10.967 -3.245 2.996 O
1.860 -3.674 1.585 O
10.512 -0.731 11.531 O
20.601 -2.276 8.228 O
8.901 1.890 14.094 Ti
11.962 -0.124 10.412 Ti
16.811 -1.811 7.421 Ti
8.012 -0.929 8.645 Ti
7.107 -3.874 2.831 Ti
2.400 -2.245 5.777 Ti
18.874 1.002 7.325 Si
9.030 -5.640 5.137 Si
10.204 -3.192 1.562 Si
14.454 0.708 8.151 Si
15.352 -4.676 8.773 Si
13.354 -2.827 12.180 Si
3.829 0.768 4.613 Si
19.824 -3.460 7.405 Si
0.206 -4.861 5.990 Si
2.148 -1.726 9.288 Si
8.911 -0.776 11.885 Si
4.649 -4.687 5.230 Si
1.330 -2.354 2.443 Si
10.959 -2.629 8.263 Si
10.045 1.766 8.271 Si
6.493 -6.402 7.303 Al
1.443 -4.796 0.046 Al
6.251 -6.596 -2.474 Al
16.430 3.308 7.932 Al
11.179 -3.063 4.849 Al
17.697 1.069 13.151 Al
13.890 -2.374 6.218 Na
5.487 -1.158 10.430 Na
1.581 -5.125 3.447 Na
14.314 -2.004 9.535 Na
12.105 -0.317 13.571 Na
6.981 -3.566 -0.210 Na
9.412 -5.848 8.734 Na
5.115 -1.522 7.199 Na
4.729 -1.883 3.781 Na
13.510 -2.742 2.890 Na
4.256 -4.306 1.576 Na
12.107 -5.070 6.958 Na
3.802 -6.823 -0.721 Na
2.655 -2.097 -0.211 Na
14.785 0.502 11.802 Na
13.178 2.708 9.913 Na
2.553 0.536 7.481 Na
17.548 1.353 9.975 Na
16.450 -1.821 13.707 Na
-0.023 -0.039 0.079 Na
11.346 -0.276 6.511 Na
7.766 -3.684 6.910 Na
6.930 1.239 6.424 Na
15.225 2.870 13.977 Na
8.137 -1.275 5.049 S
17.742 -1.559 10.884 S
-0.693 -0.439 5.984 S

Record 3
KMg6AlO8, relaxed, DFT GGA-PBE; electronic total energy = -90.8 eV per cell; E_form = -2.644 eV per atom; E above lowest polymorph = 6.1 kJ/mol of atoms
1.0
8.631 0.000 0.000
0.000 4.415 0.000
0.000 0.000 4.415
Mg O Al K
6 8 1 1
Cartesian
2.151 0.000 2.207 Mg
4.316 2.207 2.207 Mg
4.316 0.000 0.000 Mg
2.151 2.207 0.000 Mg
6.480 2.207 0.000 Mg
6.480 0.000 2.207 Mg
6.697 0.000 0.000 O
4.316 0.000 2.207 O
0.000 2.207 0.000 O
4.316 2.207 0.000 O
1.934 0.000 0.000 O
6.251 2.207 2.207 O
0.000 0.000 2.207 O
2.380 2.207 2.207 O
0.000 0.000 0.000 Al
0.000 2.207 2.207 K

Record 4
Y2Zr2O7, relaxed, DFT GGA-PBE; electronic total energy = -102.0 eV per cell; E_form = -3.834 eV per atom
1.0
-5.446 2.099 1.131
0.094 -1.971 -5.608
-2.348 -4.998 1.088
Y Zr O
2 2 7
Cartesian
-3.728 0.837 -0.959 Y
-1.624 -0.708 -3.518 Y
-4.911 -1.889 -2.896 Zr
-2.789 -2.980 -0.493 Zr
-5.539 -0.182 -2.060 O
-4.081 -3.277 1.007 O
-2.999 -1.289 -1.687 O
-4.701 -3.580 -1.702 O
-1.174 -2.499 0.544 O
-3.619 -1.592 -4.395 O
-2.162 -4.687 -1.329 O